Entry from the Materials Project: a relaxed HfMg14TiO16 crystal (PBE).

```
HfMg14TiO16
1.0
-6.4028 -5.5234 1.8782
5.1479 -4.0370 5.6774
-1.3644 2.6408 3.1149
Mg O Hf Ti
14 16 1 1
direct
0.5000 0.0000 0.0000
0.2438 0.2438 0.0000
0.5000 0.2433 0.5000
0.2433 0.5000 0.5000
0.7500 0.0000 0.5000
0.0000 0.7500 0.5000
0.0000 0.2500 0.5000
0.7562 0.2438 0.0000
0.7562 0.7562 0.0000
0.0000 0.5000 0.0000
0.2438 0.7562 0.0000
0.5000 0.7567 0.5000
0.2500 0.0000 0.5000
0.7567 0.5000 0.5000
0.0000 0.7394 0.0000
0.2503 0.2503 0.5000
0.2475 0.5000 0.0000
0.5000 0.7525 0.0000
0.5000 0.2475 0.0000
0.5000 0.5000 0.5000
0.0000 0.2606 0.0000
0.7525 0.5000 0.0000
0.2606 0.0000 0.0000
0.5000 0.0000 0.5000
0.7394 0.0000 0.0000
0.2503 0.7497 0.5000
0.0000 0.5000 0.5000
0.0000 0.0000 0.5000
0.7497 0.2503 0.5000
0.7497 0.7497 0.5000
0.5000 0.5000 0.0000
0.0000 0.0000 0.0000
```

Offset from the most stable computed form in eV/atom: 0.0070
Total energy in eV/cell: -200.589
Volume in A^3/atom: 10.095
Formation energy in eV/f.u.: -92.157